[1]
# PBE Be2Te7Cl6, relaxed
data_Be2Te7Cl6
_chemical_formula_sum 'Be4 Te14 Cl12'
_cell_length_a 5.531
_cell_length_b 10.332
_cell_length_c 16.821
_cell_angle_alpha 90.00
_cell_angle_beta 90.00
_cell_angle_gamma 90.00
_space_group_name_H-M_alt 'P n n m'
_space_group_IT_number 58
_space_group_name_Hall '-P 2 2n'
loop_
_atom_site_label
_atom_site_fract_x
_atom_site_fract_y
_atom_site_fract_z
Be1 0.000 0.000 0.081
Te1 0.000 0.500 0.000
Te2 0.000 0.500 0.239
Te3 0.172 0.104 0.371
Cl1 0.153 0.139 0.147
Cl2 0.233 0.915 0.000
# Total energy after the MP2020 corrections, eV/cell: -108.78

***

[2]
# PBE Be2Co, relaxed
data_Be2Co
_chemical_formula_sum 'Be8 Co4'
_cell_length_a 2.677
_cell_length_b 3.839
_cell_length_c 10.665
_cell_angle_alpha 90.00
_cell_angle_beta 90.00
_cell_angle_gamma 90.00
_space_group_name_H-M_alt 'F m m m'
_space_group_IT_number 69
_space_group_name_Hall '-F 2 2'
loop_
_atom_site_label
_atom_site_fract_x
_atom_site_fract_y
_atom_site_fract_z
Be1 0.000 0.000 0.164
Co1 0.000 0.000 0.500
# Total magnetic moment, μB per atom: 0.253

***

[3]
First-principles (PBE) data for a geometry-optimized BeCo structure, as listed in Materials Project.

```
data_BeCo
_chemical_formula_sum 'Be1 Co1'
_cell_length_a 2.592
_cell_length_b 2.592
_cell_length_c 2.592
_cell_angle_alpha 90.00
_cell_angle_beta 90.00
_cell_angle_gamma 90.00
_space_group_name_H-M_alt 'P m -3 m'
_space_group_IT_number 221
_space_group_name_Hall '-P 4 2 3'
loop_
_atom_site_label
_atom_site_fract_x
_atom_site_fract_y
_atom_site_fract_z
Be1 0.000 0.000 0.000
Co1 0.500 0.500 0.500
```

***

[4]
First-principles (PBE) data for a geometry-optimized BeGaCo2 structure, as listed in Materials Project.

```
data_BeGaCo2
_chemical_formula_sum 'Be4 Ga4 Co8'
_cell_length_a 5.519
_cell_length_b 5.519
_cell_length_c 5.519
_cell_angle_alpha 90.00
_cell_angle_beta 90.00
_cell_angle_gamma 90.00
_space_group_name_H-M_alt 'F m -3 m'
_space_group_IT_number 225
_space_group_name_Hall '-F 4 2 3'
loop_
_atom_site_label
_atom_site_fract_x
_atom_site_fract_y
_atom_site_fract_z
Be1 0.000 0.000 0.000
Ga1 0.000 0.000 0.500
Co1 0.250 0.250 0.250
```

***

[5]
# PBE BeCo2Ge, relaxed
data_BeCo2Ge
_chemical_formula_sum 'Be1 Co2 Ge1'
_cell_length_a 2.800
_cell_length_b 2.800
_cell_length_c 5.337
_cell_angle_alpha 90.00
_cell_angle_beta 90.00
_cell_angle_gamma 90.00
_space_group_name_H-M_alt 'P 4/m m m'
_space_group_IT_number 123
_space_group_name_Hall '-P 4 2'
loop_
_atom_site_label
_atom_site_fract_x
_atom_site_fract_y
_atom_site_fract_z
Be1 0.000 0.000 0.000
Co1 0.500 0.500 0.237
Ge1 0.000 0.000 0.500
# Energy above the most stable polymorph in this dataset, meV/atom: 98
# Total magnetic moment, μB per atom: 0.000

***

[6]
# PBE BeCo2Ge, relaxed
data_BeCo2Ge
_chemical_formula_sum 'Be4 Co8 Ge4'
_cell_length_a 5.502
_cell_length_b 5.502
_cell_length_c 5.502
_cell_angle_alpha 90.00
_cell_angle_beta 90.00
_cell_angle_gamma 90.00
_space_group_name_H-M_alt 'F m -3 m'
_space_group_IT_number 225
_space_group_name_Hall '-F 4 2 3'
loop_
_atom_site_label
_atom_site_fract_x
_atom_site_fract_y
_atom_site_fract_z
Be1 0.000 0.000 0.000
Co1 0.250 0.250 0.250
Ge1 0.000 0.000 0.500
# Energy above the most stable polymorph in this dataset, meV/atom: 0

***

[7]
First-principles (PBE) data for a geometry-optimized Be2CoNi structure, as listed in Materials Project.

```
data_Be2CoNi
_chemical_formula_sum 'Be8 Co4 Ni4'
_cell_length_a 5.187
_cell_length_b 5.187
_cell_length_c 5.187
_cell_angle_alpha 90.00
_cell_angle_beta 90.00
_cell_angle_gamma 90.00
_space_group_name_H-M_alt 'F m -3 m'
_space_group_IT_number 225
_space_group_name_Hall '-F 4 2 3'
loop_
_atom_site_label
_atom_site_fract_x
_atom_site_fract_y
_atom_site_fract_z
Be1 0.250 0.250 0.250
Co1 0.000 0.000 0.000
Ni1 0.000 0.000 0.500
```

***

[8]
First-principles (PBE) data for a geometry-optimized Be2CoPt structure, as listed in Materials Project.

```
data_Be2CoPt
_chemical_formula_sum 'Be8 Co4 Pt4'
_cell_length_a 5.453
_cell_length_b 5.453
_cell_length_c 5.453
_cell_angle_alpha 90.00
_cell_angle_beta 90.00
_cell_angle_gamma 90.00
_space_group_name_H-M_alt 'F m -3 m'
_space_group_IT_number 225
_space_group_name_Hall '-F 4 2 3'
loop_
_atom_site_label
_atom_site_fract_x
_atom_site_fract_y
_atom_site_fract_z
Be1 0.250 0.250 0.250
Co1 0.000 0.000 0.000
Pt1 0.000 0.000 0.500
```

***

Number 1: formation energy from the elements -921 meV/atom, density 3.9 g/cm³. Number 2: formation energy from the elements -14 meV/atom, density 4.7 g/cm³. Number 3: formation energy from the elements -306 meV/atom, density 6.5 g/cm³. Number 4: formation energy from the elements -286 meV/atom, density 7.8 g/cm³. Number 5: formation energy from the elements -210 meV/atom, density 7.9 g/cm³. Number 6: formation energy from the elements -308 meV/atom, density 8.0 g/cm³. Number 7: formation energy from the elements -419 meV/atom, density 6.5 g/cm³. Number 8: formation energy from the elements -592 meV/atom, density 11.1 g/cm³.